Record 1
## MgSi (PBE)

Data for a relaxed structure of MgSi.

Unit cell a=9.9266 b=4.5454 c=9.7669 alpha=90.00 beta=97.08 gamma=90.00
Closest atoms and distances in Å follow each position.
Space group C2/m (No. 12)
Asymmetric unit:
Mg 0.0573 0.0000 0.3556 (multiplicity 4)  9 Si 2.84-3.09, 2 Mg 3.16-3.17
Mg 0.0901 0.5000 0.1258 (multiplicity 4)  3 Si 2.70-2.86, 2 Mg 2.86-3.02
Mg 0.2066 0.5000 0.8343 (multiplicity 4)  6 Si 2.73-3.04, 3 Mg 3.02-3.03
Si 0.0857 0.0000 0.9153 (multiplicity 4)  1 Si 2.51, 2 Mg 2.73
Si 0.1176 0.5000 0.5500 (multiplicity 4)  4 Si 2.41-2.67
Si 0.2414 0.0000 0.6345 (multiplicity 4)  3 Si 2.41-2.67

DFT formation energy	101	meV per atom

=====

Record 2
## MgC2O4 (PBE)

Data for a relaxed structure of MgC2O4.

Unit cell a=5.4272 b=5.1199 c=6.1385 alpha=90.00 beta=120.58 gamma=90.00
Closest atoms and distances in Å follow each position.
Space group P2_1/c (No. 14)
Asymmetric unit:
Mg 0.0000 0.0000 0.0000 (multiplicity 2)  4 O 2.02-2.17
C 0.4564 0.1227 0.9141 (multiplicity 4)  2 O 1.26-1.28
O 0.2001 0.2054 0.8210 (multiplicity 4)  1 C 1.28
O 0.3539 0.7223 0.6197 (multiplicity 4)  1 C 1.26

DFT formation energy	-2043	meV per atom

=====

Record 3
## Ba2YSn2F11 (PBE)

Data for a relaxed structure of Ba2YSn2F11.

Unit cell a=8.1431 b=8.1431 c=14.6112 alpha=90.00 beta=90.00 gamma=120.00
Closest atoms and distances in Å follow each position.
Space group P3_2 (No. 145)
Asymmetric unit:
Ba 0.0169 0.1552 0.0000 (multiplicity 3)  6 F 2.67-2.81
Ba 0.4527 0.1841 0.8238 (multiplicity 3)  7 F 2.59-2.89
Y 0.1897 0.4788 0.2234 (multiplicity 3)  7 F 2.14-2.35
Sn 0.0812 0.4352 0.7361 (multiplicity 3)  5 F 2.23-2.47
Sn 0.3553 0.3000 0.5618 (multiplicity 3)  5 F 2.29-2.46
F 0.0371 0.7639 0.4886 (multiplicity 3)  1 Y 2.14
F 0.0397 0.1015 0.5193 (multiplicity 3)  1 Sn 2.33
F 0.0422 0.7874 0.0376 (multiplicity 3)  2 Sn 2.26-2.32
F 0.0834 0.7204 0.6774 (multiplicity 3)  1 Y 2.29, 1 Sn 2.47
F 0.1290 0.7165 0.2233 (multiplicity 3)  1 Y 2.22
F 0.1635 0.4961 0.5830 (multiplicity 3)  1 Y 2.26, 1 Sn 2.32
F 0.2859 0.6051 0.0772 (multiplicity 3)  1 Y 2.33, 1 Sn 2.33
F 0.3637 0.1625 0.9951 (multiplicity 3)  1 Sn 2.23
F 0.3779 0.0709 0.6439 (multiplicity 3)  1 Y 2.26, 1 Sn 2.30
F 0.4192 0.0882 0.4676 (multiplicity 3)  1 Y 2.35, 1 Sn 2.46, 1 F 2.59
F 0.5416 0.2156 0.2582 (multiplicity 3)  1 Sn 2.29

DFT formation energy	-3569	meV per atom

=====

Record 4
## Mg3Au (PBE)

Data for a relaxed structure of Mg3Au.

Unit cell a=4.7108 b=4.7108 c=8.5483 alpha=90.00 beta=90.00 gamma=120.00
Closest atoms and distances in Å follow each position.
Space group P6_3/mmc (No. 194)
Asymmetric unit:
Mg 0.0000 0.0000 0.2500 (multiplicity 2)  3 Au 2.72
Mg 0.3333 0.6667 0.0783 (multiplicity 4)  4 Au 2.81-3.09, 7 Mg 2.94-3.09
Au 0.3333 0.6667 0.7500 (multiplicity 2)  5 Mg 2.72-2.81

relative energy among the computed polymorphs	21	meV/atom
DFT formation energy	-394	meV per atom